Compound: CdH8C4S4N6
Source: the Materials Project database
Functional: GGA-PBE
Structure: relaxed

## Properties
The spin magnetization comes out at 0.00 Bohr magnetons per cell.

Lattice parameters (Å, degrees): 4.1678 7.9126 10.2025 90.98 99.09 103.81
With the nearest neighbours (Å) after each atom.
Space group P-1 (No. 2)
Symmetry-distinct sites (fractional):
Cd 0.0000 0.0000 0.0000 x1  2 N 2.28
H 0.3328 0.8994 0.2789 x2  1 N 1.03
H 0.3812 0.4932 0.6966 x2  1 N 1.02
H 0.4003 0.5210 0.8678 x2  1 N 1.02
H 0.4934 0.7592 0.3896 x2  1 N 1.02
C 0.0739 0.1769 0.3077 x2  1 N 1.19
C 0.4630 0.6964 0.1916 x2  2 N 1.33
S 0.0269 0.3000 0.4277 x2  1 C 1.62
S 0.3800 0.7574 0.0291 x2  1 C 1.74
N 0.1130 0.0849 0.2208 x2  1 C 1.19
N 0.4186 0.7888 0.2942 x2  2 H 1.02-1.03
N 0.4245 0.4469 0.7887 x2  2 H 1.02

***

Compound: Na6La4Mg4SiS11O48
Source: the Materials Project database
Functional: GGA-PBE
Structure: relaxed

## Properties
The spin magnetization comes out at 0.00 Bohr magnetons per cell.

Lattice parameters (Å, degrees): 9.1595 15.8579 24.0120 89.96 89.84 89.86
With the nearest neighbours (Å) after each atom.
Space group P1 (No. 1)
Symmetry-distinct sites (fractional):
Na 0.0000 0.0000 0.0000 x1  6 O 2.69-2.82
Na 0.9997 0.0064 0.5018 x1  6 O 2.53-2.75
Na 0.0163 0.3357 0.8280 x1  2 O 2.41-2.66
Na 0.0305 0.6680 0.1613 x1  4 O 2.48-2.75
Na 0.1674 0.1840 0.2554 x1  5 O 2.45-2.68
Na 0.3572 0.0082 0.7461 x1  3 O 2.39-2.54
Na 0.4750 0.1767 0.6652 x1  4 O 2.64-2.78
Na 0.4813 0.8293 0.3359 x1  5 O 2.59-2.87
Na 0.5001 0.5018 0.0001 x1  6 O 2.68-2.80
Na 0.5016 0.4972 0.5096 x1  3 O 2.44-2.69
Na 0.5073 0.8245 0.8261 x1  5 O 2.61-2.82
Na 0.5152 0.1683 0.1626 x1  4 O 2.53-2.78
Na 0.6405 0.0125 0.2489 x1  5 O 2.45-2.65
Na 0.6634 0.6856 0.2496 x1  2 O 2.31-2.38
Na 0.6844 0.3144 0.2522 x1  2 O 2.34-2.38
Na 0.8218 0.1825 0.7560 x1  4 O 2.49-2.59
Na 0.9966 0.3295 0.3402 x1  4 O 2.61-2.83
Na 0.9981 0.6682 0.6769 x1  3 O 2.48-2.64
La 0.9998 0.0011 0.8528 x1  1 O 2.14
La 0.0036 0.6719 0.5243 x1  6 O 2.31-2.36
La 0.0097 0.0057 0.6475 x1  3 O 2.18-2.44
La 0.0157 0.3335 0.6799 x1  6 O 2.26-2.48
La 0.0218 0.6688 0.3206 x1  3 O 2.16-2.37
La 0.4858 0.5041 0.1488 x1  2 O 2.12-2.35
La 0.4946 0.5058 0.3519 x1  5 O 2.20-2.46
La 0.4998 0.8349 0.9790 x1  6 O 2.31-2.39
La 0.5041 0.5070 0.8517 x1  6 O 2.31-2.46
La 0.9955 0.0081 0.1506 x1  6 O 2.19-2.44
La 0.9956 0.0125 0.3541 x1  3 O 2.17-2.38
La 0.9977 0.3352 0.9780 x1  6 O 2.30-2.38
Mg 0.0014 0.3323 0.4858 x1  6 O 2.03-2.26
Mg 0.0007 0.6687 0.8170 x1  6 O 2.06-2.30
Mg 0.4853 0.1728 0.8179 x1  4 O 1.96-2.17
Mg 0.4847 0.8310 0.1806 x1  2 O 1.97-2.06
Mg 0.4997 0.1697 0.0174 x1  6 O 2.06-2.24
Mg 0.5003 0.5066 0.6503 x1  6 O 2.15-2.34
Mg 0.5015 0.1705 0.5150 x1  5 O 2.05-2.13
Mg 0.5008 0.8308 0.6794 x1  5 O 1.99-2.21
Mg 0.5013 0.8369 0.4873 x1  6 O 2.02-2.25
Mg 0.5145 0.1691 0.3262 x1  4 O 2.05-2.19
Mg 0.9965 0.3325 0.1805 x1  6 O 2.02-2.23
Mg 0.9992 0.6693 0.0178 x1  6 O 2.05-2.23
Si 0.1598 0.1544 0.7542 x1  4 O 1.61-1.65
Si 0.3540 0.6638 0.2481 x1  4 O 1.62-1.66
Si 0.8415 0.1610 0.2504 x1  4 O 1.64-1.65
S 0.1318 0.4870 0.0840 x1  4 O 1.48-1.50
S 0.1411 0.5066 0.4224 x1  4 O 1.46-1.50
S 0.1599 0.8441 0.7501 x1  4 O 1.47-1.50
S 0.1642 0.1916 0.0849 x1  4 O 1.48-1.50
S 0.1698 0.8242 0.4218 x1  4 O 1.46-1.50
S 0.2011 0.8285 0.0844 x1  4 O 1.48-1.49
S 0.2033 0.5111 0.7490 x1  4 O 1.48-1.49
S 0.2180 0.1766 0.4199 x1  4 O 1.46-1.51
S 0.2723 0.6684 0.9175 x1  4 O 1.46-1.51
S 0.3091 0.3358 0.5775 x1  4 O 1.48-1.51
S 0.3131 0.0034 0.2515 x1  4 O 1.48-1.50
S 0.3421 0.3438 0.2510 x1  4 O 1.48-1.49
S 0.3621 0.0320 0.9178 x1  4 O 1.47-1.50
S 0.3655 0.3088 0.9182 x1  4 O 1.46-1.51
S 0.3683 0.9811 0.5817 x1  4 O 1.47-1.52
S 0.3695 0.6898 0.5869 x1  4 O 1.47-1.52
S 0.6311 0.0220 0.4202 x1  4 O 1.46-1.52
S 0.6360 0.9884 0.0854 x1  4 O 1.48-1.50
S 0.6408 0.3510 0.7483 x1  4 O 1.47-1.50
S 0.6530 0.6549 0.7456 x1  4 O 1.48-1.51
S 0.6549 0.3101 0.4192 x1  4 O 1.46-1.51
S 0.6639 0.6906 0.0853 x1  4 O 1.48-1.50
S 0.6871 0.0011 0.7506 x1  4 O 1.48-1.49
S 0.6913 0.6777 0.4190 x1  4 O 1.47-1.50
S 0.7010 0.3276 0.0853 x1  4 O 1.48-1.49
S 0.7722 0.1682 0.9163 x1  4 O 1.47-1.50
S 0.7750 0.8377 0.5841 x1  4 O 1.47-1.51
S 0.8086 0.4971 0.2474 x1  4 O 1.47-1.50
S 0.8364 0.8512 0.2485 x1  4 O 1.47-1.49
S 0.8368 0.4800 0.5825 x1  4 O 1.47-1.50
S 0.8403 0.1899 0.5771 x1  4 O 1.47-1.51
S 0.8630 0.5335 0.9171 x1  4 O 1.46-1.51
S 0.8643 0.8050 0.9174 x1  4 O 1.47-1.51
O 0.0645 0.5718 0.0801 x1  1 S 1.48
O 0.0707 0.2445 0.7502 x1  1 Si 1.65
O 0.0712 0.4245 0.4296 x1  1 S 1.46
O 0.0728 0.1072 0.8054 x1  1 Si 1.64
O 0.0805 0.4418 0.1343 x1  1 S 1.48
O 0.0870 0.5438 0.3690 x1  1 S 1.50
O 0.0880 0.8828 0.7008 x1  1 S 1.49
O 0.0951 0.7605 0.7602 x1  1 S 1.47
O 0.0993 0.1052 0.0864 x1  1 S 1.50
O 0.0995 0.2332 0.0354 x1  1 S 1.48
O 0.0993 0.9082 0.4186 x1  1 S 1.48
O 0.1004 0.4374 0.0331 x1  1 S 1.48
O 0.0999 0.7786 0.4687 x1  1 S 1.48
O 0.1047 0.9043 0.0881 x1  1 S 1.49
O 0.1065 0.4356 0.7459 x1  1 S 1.49
O 0.1081 0.5652 0.4688 x1  1 S 1.48
O 0.1114 0.7511 0.0795 x1  1 S 1.48
O 0.1117 0.5879 0.7548 x1  1 S 1.48
O 0.1209 0.2517 0.4248 x1  1 S 1.49
O 0.1224 0.0989 0.4185 x1  1 S 1.51
O 0.1259 0.2386 0.1365 x1  1 S 1.49
O 0.1305 0.0953 0.6986 x1  1 Si 1.65
O 0.1387 0.9007 0.7994 x1  1 S 1.50
O 0.1417 0.7772 0.3690 x1  1 S 1.50
O 0.1759 0.6730 0.2522 x1  1 Si 1.64
O 0.1834 0.3362 0.2399 x1  1 S 1.48
O 0.1851 0.6710 0.8666 x1  1 S 1.46
O 0.1858 0.6657 0.9692 x1  1 S 1.47
O 0.1994 0.0205 0.9188 x1  1 S 1.50
O 0.2020 0.3189 0.9180 x1  1 S 1.51
O 0.2020 0.3480 0.5323 x1  1 S 1.48
O 0.2030 0.9887 0.5822 x1  1 S 1.52
O 0.2049 0.6800 0.5846 x1  1 S 1.52
O 0.2194 0.0208 0.2021 x1  1 S 1.49
O 0.2201 0.9840 0.3002 x1  1 S 1.48
O 0.2293 0.3191 0.6314 x1  1 S 1.51
O 0.2904 0.8402 0.0332 x1  1 S 1.49
O 0.2919 0.4990 0.8006 x1  1 S 1.49
O 0.2946 0.4957 0.0842 x1  1 S 1.50
O 0.2965 0.8228 0.1340 x1  1 S 1.48
O 0.2995 0.5167 0.6996 x1  1 S 1.48
O 0.3002 0.1817 0.3657 x1  1 S 1.50
O 0.3028 0.4987 0.4196 x1  1 S 1.49
O 0.3156 0.1678 0.4676 x1  1 S 1.46
O 0.3215 0.8405 0.7410 x1  1 S 1.50
O 0.3246 0.1850 0.0793 x1  1 S 1.48
O 0.3281 0.8298 0.4289 x1  1 S 1.46
O 0.3349 0.1570 0.7607 x1  1 Si 1.61
O 0.3647 0.3985 0.3001 x1  1 S 1.48
O 0.3699 0.7446 0.9170 x1  1 S 1.51
O 0.3711 0.5922 0.9176 x1  1 S 1.51
O 0.3853 0.6019 0.1953 x1  1 Si 1.63
O 0.3969 0.4142 0.5853 x1  1 S 1.49
O 0.3994 0.7422 0.6360 x1  1 S 1.47
O 0.4004 0.0815 0.2612 x1  1 S 1.50
O 0.4033 0.0788 0.9680 x1  1 S 1.47
O 0.4036 0.2609 0.5689 x1  1 S 1.48
O 0.4042 0.2633 0.8672 x1  1 S 1.46
O 0.4052 0.2584 0.2609 x1  1 S 1.49
O 0.4053 0.9267 0.5342 x1  1 S 1.47
O 0.4092 0.0724 0.8655 x1  1 S 1.47
O 0.4127 0.2665 0.9695 x1  1 S 1.47
O 0.4139 0.9317 0.2407 x1  1 S 1.48
O 0.4152 0.9428 0.6359 x1  1 S 1.50
O 0.4214 0.7291 0.5347 x1  1 S 1.48
O 0.4224 0.3798 0.2024 x1  1 S 1.49
O 0.4268 0.6167 0.3032 x1  1 Si 1.66
O 0.4294 0.9454 0.9180 x1  1 S 1.50
O 0.4304 0.3957 0.9174 x1  1 S 1.50
O 0.4314 0.0669 0.5764 x1  1 S 1.48
O 0.4339 0.6036 0.5928 x1  1 S 1.49
O 0.4402 0.7525 0.2419 x1  1 Si 1.62
O 0.5668 0.9369 0.4254 x1  1 S 1.48
O 0.5679 0.0730 0.0800 x1  1 S 1.48
O 0.5786 0.2645 0.7541 x1  1 S 1.49
O 0.5796 0.3957 0.7000 x1  1 S 1.47
O 0.5826 0.0598 0.3658 x1  1 S 1.50
O 0.5834 0.9460 0.1369 x1  1 S 1.49
O 0.5843 0.9297 0.7415 x1  1 S 1.49
O 0.5875 0.7403 0.7378 x1  1 S 1.49
O 0.5878 0.3968 0.4160 x1  1 S 1.51
O 0.5878 0.6204 0.7986 x1  1 S 1.51
O 0.5908 0.2655 0.4665 x1  1 S 1.46
O 0.5962 0.0770 0.4672 x1  1 S 1.46
O 0.5985 0.7317 0.0356 x1  1 S 1.49
O 0.5996 0.6039 0.0871 x1  1 S 1.50
O 0.5997 0.7533 0.4262 x1  1 S 1.47
O 0.6008 0.5996 0.4191 x1  1 S 1.49
O 0.6021 0.0805 0.7596 x1  1 S 1.49
O 0.6035 0.9365 0.0356 x1  1 S 1.48
O 0.6047 0.4034 0.0868 x1  1 S 1.49
O 0.6114 0.2503 0.0801 x1  1 S 1.48
O 0.6148 0.4001 0.8004 x1  1 S 1.49
O 0.6189 0.5972 0.6990 x1  1 S 1.48
O 0.6231 0.2657 0.3652 x1  1 S 1.51
O 0.6262 0.7389 0.1364 x1  1 S 1.49
O 0.6660 0.1681 0.2630 x1  1 Si 1.64
O 0.6758 0.4886 0.5880 x1  1 S 1.49
O 0.6758 0.8519 0.2402 x1  1 S 1.48
O 0.6809 0.1673 0.9665 x1  1 S 1.47
O 0.6818 0.1806 0.5695 x1  1 S 1.47
O 0.6865 0.8343 0.6350 x1  1 S 1.47
O 0.6883 0.8396 0.5327 x1  1 S 1.47
O 0.6893 0.1712 0.8634 x1  1 S 1.48
O 0.6995 0.5229 0.9174 x1  1 S 1.51
O 0.7008 0.8152 0.9170 x1  1 S 1.51
O 0.7108 0.5109 0.1994 x1  1 S 1.48
O 0.7189 0.4796 0.2982 x1  1 S 1.50
O 0.7713 0.6842 0.3646 x1  1 S 1.50
O 0.7769 0.9819 0.8005 x1  1 S 1.48
O 0.7834 0.0163 0.7019 x1  1 S 1.48
O 0.7916 0.3228 0.1365 x1  1 S 1.49
O 0.7952 0.3382 0.0354 x1  1 S 1.48
O 0.7961 0.0127 0.4178 x1  1 S 1.52
O 0.7984 0.6684 0.4649 x1  1 S 1.48
O 0.7989 0.9970 0.0859 x1  1 S 1.50
O 0.8034 0.3397 0.7441 x1  1 S 1.50
O 0.8144 0.6616 0.7530 x1  1 S 1.49
O 0.8166 0.3188 0.4242 x1  1 S 1.49
O 0.8243 0.6843 0.0791 x1  1 S 1.48
O 0.8560 0.0935 0.1986 x1  1 Si 1.65
O 0.8640 0.2299 0.6332 x1  1 S 1.51
O 0.8680 0.0914 0.9181 x1  1 S 1.50
O 0.8686 0.9013 0.2991 x1  1 S 1.48
O 0.8700 0.2442 0.9165 x1  1 S 1.50
O 0.8719 0.7608 0.5845 x1  1 S 1.51
O 0.8724 0.9129 0.5845 x1  1 S 1.49
O 0.8769 0.4294 0.5336 x1  1 S 1.47
O 0.8859 0.7619 0.2550 x1  1 S 1.49
O 0.8917 0.5766 0.2547 x1  1 S 1.49
O 0.8984 0.4443 0.6345 x1  1 S 1.48
O 0.9021 0.5783 0.9685 x1  1 S 1.47
O 0.9025 0.5666 0.5785 x1  1 S 1.50
O 0.9042 0.4234 0.2386 x1  1 S 1.47
O 0.9043 0.7608 0.8660 x1  1 S 1.47
O 0.9103 0.5753 0.8657 x1  1 S 1.46
O 0.9107 0.2401 0.5332 x1  1 S 1.47
O 0.9112 0.7620 0.9688 x1  1 S 1.47
O 0.9121 0.1045 0.5782 x1  1 S 1.50
O 0.9123 0.8869 0.1997 x1  1 S 1.47
O 0.9182 0.2524 0.2386 x1  1 Si 1.64
O 0.9281 0.4465 0.9169 x1  1 S 1.50
O 0.9289 0.8917 0.9186 x1  1 S 1.50
O 0.9375 0.1193 0.3016 x1  1 Si 1.65

***

Compound: Pm2CdGa
Source: the Materials Project database
Functional: GGA-PBE
Structure: relaxed

Lattice parameters (Å, degrees): 7.5134 7.5134 7.5134 90.00 90.00 90.00
With the nearest neighbours (Å) after each atom.
Space group Fm-3m (No. 225)
Symmetry-distinct sites (fractional):
Pm 0.2500 0.2500 0.2500 x8  4 Cd 3.25, 4 Ga 3.25
Cd 0.0000 0.0000 0.0000 x4  8 Pm 3.25
Ga 0.0000 0.0000 0.5000 x4  8 Pm 3.25

***

Compound: V4N3
Source: the Materials Project database
Functional: GGA-PBE
Structure: relaxed

## Properties
The spin magnetization comes out at 0.03 Bohr magnetons per cell.

Lattice parameters (Å, degrees): 2.9308 2.9308 27.4931 90.00 90.00 120.00
With the nearest neighbours (Å) after each atom.
Space group R-3m (No. 166, hexagonal axes)
Symmetry-distinct sites (fractional):
V 0.0000 0.0000 0.1213 x6  6 N 2.06-2.10
V 0.0000 0.0000 0.3762 x6  3 N 1.96
N 0.0000 0.0000 0.2548 x6  6 V 1.96-2.06
N 0.0000 0.0000 0.5000 x3  6 V 2.10

***

Let's list formation energy from the elements in order: -0.321, -2.502, -0.437, -1.072 eV per atom.
Let's list final energy in order: -134.8, -1424.1, -60.8, -203.3 eV for the cell shown.